PBE-GGA Pu2Co, optimized geometry; calculated density = 14.918 g/cm³; energy relative to the elements = 0.06 eV/atom; magnetization = 10.68 μB per formula unit
1.0
7.228 0.000 0.000
-3.614 6.260 0.000
0.000 0.000 4.037
Pu Co
6 3
Direct
0.000 0.255 0.000
0.000 0.577 0.500
0.255 0.000 0.000
0.423 0.423 0.500
0.577 0.000 0.500
0.745 0.745 0.000
0.000 0.000 0.500
0.333 0.667 0.000
0.667 0.333 0.000

---

PBE-GGA Mg14NbZnO16, optimized geometry; calculated density = 3.926 g/cm³; energy relative to the elements = -2.81 eV/atom; magnetization = 1.85 μB per formula unit
1.0
4.285 0.000 0.000
0.000 8.629 0.000
0.000 0.000 8.631
Mg Nb Zn O
14 1 1 16
Direct
0.000 0.000 0.000
0.000 0.000 0.500
0.000 0.248 0.248
0.000 0.248 0.752
0.000 0.752 0.248
0.000 0.752 0.752
0.500 0.000 0.249
0.500 0.000 0.751
0.500 0.245 0.500
0.500 0.250 0.000
0.500 0.500 0.244
0.500 0.500 0.756
0.500 0.750 0.000
0.500 0.755 0.500
0.000 0.500 0.500
0.000 0.500 0.000
0.000 0.000 0.249
0.000 0.000 0.751
0.000 0.238 0.500
0.000 0.244 0.000
0.000 0.500 0.242
0.000 0.500 0.758
0.000 0.756 0.000
0.000 0.762 0.500
0.500 0.000 0.000
0.500 0.000 0.500
0.500 0.251 0.250
0.500 0.251 0.750
0.500 0.500 0.000
0.500 0.500 0.500
0.500 0.749 0.250
0.500 0.749 0.750

---

PBE-GGA CaEr4Zr4O14, optimized geometry; calculated density = 7.084 g/cm³; energy relative to the elements = -3.46 eV/atom; magnetization = 0.00 μB per formula unit
1.0
3.570 0.000 0.000
0.000 7.796 0.000
-0.036 0.000 10.931
Ca Er Zr O
1 4 4 14
Direct
0.000 0.000 0.000
0.010 0.292 0.871
0.010 0.708 0.871
0.504 0.000 0.206
0.507 0.500 0.636
0.005 0.273 0.403
0.005 0.727 0.403
0.504 0.500 0.159
0.508 0.000 0.662
0.005 0.000 0.311
0.005 0.500 0.033
0.005 0.500 0.284
0.006 0.500 0.517
0.007 0.000 0.566
0.007 0.000 0.807
0.502 0.188 0.021
0.502 0.812 0.021
0.505 0.271 0.263
0.505 0.729 0.263
0.506 0.242 0.500
0.506 0.758 0.500
0.508 0.258 0.749
0.508 0.742 0.749

---

PBE-GGA Nd2Ni7P4, optimized geometry; calculated density = 7.523 g/cm³; energy relative to the elements = -0.85 eV/atom
1.0
3.777 0.000 0.000
0.000 9.236 0.000
0.000 0.000 10.418
Nd Ni P
4 14 8
Direct
0.000 0.060 0.000
0.000 0.436 0.219
0.500 0.564 0.719
0.500 0.940 0.500
0.000 0.058 0.699
0.000 0.097 0.301
0.000 0.306 0.792
0.000 0.416 0.525
0.000 0.683 0.481
0.000 0.729 0.888
0.000 0.747 0.121
0.500 0.253 0.621
0.500 0.271 0.388
0.500 0.317 0.981
0.500 0.584 0.025
0.500 0.694 0.292
0.500 0.903 0.801
0.500 0.942 0.199
0.000 0.182 0.507
0.000 0.480 0.935
0.000 0.812 0.685
0.000 0.843 0.309
0.500 0.157 0.809
0.500 0.188 0.185
0.500 0.520 0.435
0.500 0.818 0.007

---

PBE-GGA AlSe2Cl4, optimized geometry; calculated density = 2.374 g/cm³; energy relative to the elements = -1.32 eV/atom
1.0
13.973 0.000 0.000
0.000 13.990 0.000
0.000 0.000 9.352
Al Se Cl
8 16 32
Direct
0.102 0.168 0.000
0.161 0.615 0.500
0.339 0.115 0.500
0.398 0.668 0.000
0.602 0.332 0.000
0.661 0.885 0.500
0.839 0.385 0.500
0.898 0.832 0.000
0.000 0.000 0.323
0.000 0.000 0.677
0.000 0.500 0.177
0.000 0.500 0.823
0.014 0.117 0.500
0.116 0.525 0.000
0.384 0.025 0.000
0.486 0.617 0.500
0.500 0.000 0.177
0.500 0.000 0.823
0.500 0.500 0.323
0.500 0.500 0.677
0.514 0.383 0.500
0.616 0.975 0.000
0.884 0.475 0.000
0.986 0.883 0.500
0.008 0.635 0.500
0.011 0.200 0.185
0.011 0.200 0.815
0.135 0.018 0.000
0.200 0.528 0.314
0.200 0.528 0.686
0.225 0.257 0.000
0.238 0.746 0.500
0.262 0.246 0.500
0.275 0.757 0.000
0.300 0.028 0.314
0.300 0.028 0.686
0.365 0.518 0.000
0.489 0.700 0.185
0.489 0.700 0.815
0.492 0.135 0.500
0.508 0.865 0.500
0.511 0.300 0.185
0.511 0.300 0.815
0.635 0.482 0.000
0.700 0.972 0.314
0.700 0.972 0.686
0.725 0.243 0.000
0.738 0.754 0.500
0.762 0.254 0.500
0.775 0.743 0.000
0.800 0.472 0.314
0.800 0.472 0.686
0.865 0.982 0.000
0.989 0.800 0.185
0.989 0.800 0.815
0.992 0.365 0.500

---

PBE-GGA CsCa10P7O28, optimized geometry; calculated density = 3.221 g/cm³; energy relative to the elements = -3.28 eV/atom; magnetization = 0.00 μB per formula unit
1.0
5.342 3.084 12.498
-5.342 3.084 12.498
0.000 -6.169 12.498
Cs Ca P O
2 20 14 56
Direct
0.000 0.000 0.000
0.500 0.500 0.500
0.022 0.617 0.605
0.105 0.117 0.522
0.112 0.736 0.713
0.117 0.522 0.105
0.179 0.179 0.179
0.213 0.236 0.612
0.234 0.836 0.265
0.236 0.612 0.213
0.265 0.234 0.836
0.336 0.734 0.765
0.522 0.105 0.117
0.605 0.022 0.617
0.612 0.213 0.236
0.617 0.605 0.022
0.679 0.679 0.679
0.713 0.112 0.736
0.734 0.765 0.336
0.736 0.713 0.112
0.765 0.336 0.734
0.836 0.265 0.234
0.366 0.868 0.402
0.368 0.866 0.902
0.402 0.366 0.868
0.410 0.410 0.410
0.455 0.993 0.493
0.493 0.455 0.993
0.493 0.955 0.993
0.866 0.902 0.368
0.868 0.402 0.366
0.902 0.368 0.866
0.910 0.910 0.910
0.955 0.993 0.493
0.993 0.493 0.455
0.993 0.493 0.955
0.014 0.823 0.553
0.015 0.557 0.992
0.033 0.058 0.319
0.038 0.836 0.298
0.041 0.579 0.284
0.042 0.316 0.309
0.053 0.323 0.514
0.057 0.515 0.492
0.058 0.319 0.033
0.069 0.792 0.910
0.070 0.334 0.788
0.079 0.541 0.784
0.284 0.041 0.579
0.288 0.834 0.570
0.292 0.569 0.410
0.298 0.038 0.836
0.309 0.042 0.316
0.311 0.812 0.890
0.312 0.811 0.390
0.316 0.309 0.042
0.319 0.033 0.058
0.323 0.514 0.053
0.334 0.788 0.070
0.336 0.538 0.798
0.369 0.369 0.369
0.390 0.312 0.811
0.410 0.292 0.569
0.492 0.057 0.515
0.514 0.053 0.323
0.515 0.492 0.057
0.533 0.819 0.558
0.538 0.798 0.336
0.541 0.784 0.079
0.542 0.809 0.816
0.553 0.014 0.823
0.557 0.992 0.015
0.558 0.533 0.819
0.569 0.410 0.292
0.570 0.288 0.834
0.579 0.284 0.041
0.784 0.079 0.541
0.788 0.070 0.334
0.792 0.910 0.069
0.798 0.336 0.538
0.809 0.816 0.542
0.811 0.390 0.312
0.812 0.890 0.311
0.816 0.542 0.809
0.819 0.558 0.533
0.823 0.553 0.014
0.834 0.570 0.288
0.836 0.298 0.038
0.869 0.869 0.869
0.890 0.311 0.812
0.910 0.069 0.792
0.992 0.015 0.557

---

PBE-GGA CaH4Cl2O2, optimized geometry; calculated density = 1.796 g/cm³; energy relative to the elements = -1.65 eV/atom
1.0
5.899 0.000 0.000
0.000 7.601 0.000
0.000 0.000 12.126
Ca H Cl O
4 16 8 8
Direct
0.000 0.218 0.250
0.000 0.782 0.750
0.500 0.282 0.750
0.500 0.718 0.250
0.099 0.215 0.603
0.099 0.785 0.103
0.245 0.351 0.536
0.245 0.649 0.036
0.255 0.149 0.036
0.255 0.851 0.536
0.401 0.285 0.103
0.401 0.715 0.603
0.599 0.285 0.397
0.599 0.715 0.897
0.745 0.149 0.464
0.745 0.851 0.964
0.755 0.351 0.964
0.755 0.649 0.464
0.901 0.215 0.897
0.901 0.785 0.397
0.219 0.051 0.865
0.219 0.949 0.365
0.281 0.449 0.365
0.281 0.551 0.865
0.719 0.449 0.135
0.719 0.551 0.635
0.781 0.051 0.635
0.781 0.949 0.135
0.238 0.287 0.606
0.238 0.713 0.106
0.262 0.213 0.106
0.262 0.787 0.606
0.738 0.213 0.394
0.738 0.787 0.894
0.762 0.287 0.894
0.762 0.713 0.394

---

PBE-GGA MgCd, optimized geometry; calculated density = 5.075 g/cm³; energy relative to the elements = -0.02 eV/atom; magnetization = 0.00 μB per formula unit
1.0
3.249 0.000 0.000
-1.625 2.814 0.000
0.000 0.000 9.784
Mg Cd
2 2
Direct
0.333 0.667 0.129
0.667 0.333 0.871
0.333 0.667 0.626
0.667 0.333 0.374

---

PBE-GGA HoSI, optimized geometry; calculated density = 4.768 g/cm³; energy relative to the elements = -2.11 eV/atom
1.0
4.162 0.000 0.000
0.000 5.349 0.000
0.000 0.000 10.134
Ho S I
2 2 2
Direct
0.250 0.250 0.111
0.750 0.750 0.889
0.250 0.750 0.063
0.750 0.250 0.937
0.250 0.750 0.671
0.750 0.250 0.329

---

PBE-GGA CaEuTiNbO6, optimized geometry; calculated density = 5.573 g/cm³; energy relative to the elements = -3.32 eV/atom; magnetization = 6.65 μB per formula unit
1.0
0.000 3.998 3.998
3.998 0.000 3.998
3.998 3.998 0.000
Ca Eu Ti Nb O
1 1 1 1 6
Direct
0.000 0.000 0.000
0.500 0.500 0.500
0.750 0.750 0.750
0.250 0.250 0.250
0.503 0.503 0.997
0.503 0.997 0.503
0.503 0.997 0.997
0.997 0.503 0.503
0.997 0.503 0.997
0.997 0.997 0.503

---

PBE-GGA AlTlF4, optimized geometry; calculated density = 5.762 g/cm³; energy relative to the elements = -3.28 eV/atom
1.0
3.698 0.000 0.000
0.000 3.698 0.000
0.000 0.000 6.478
Al Tl F
1 1 4
Direct
0.000 0.000 0.000
0.500 0.500 0.500
0.000 0.000 0.277
0.000 0.000 0.723
0.000 0.500 0.000
0.500 0.000 0.000

---

PBE-GGA FeCo2N2, optimized geometry; calculated density = 7.517 g/cm³; energy relative to the elements = 0.12 eV/atom; magnetization = 1.51 μB per formula unit
1.0
2.815 0.000 0.000
-1.407 2.438 0.000
0.000 0.000 6.493
Fe Co N
1 2 2
Direct
0.000 0.000 0.000
0.333 0.667 0.338
0.667 0.333 0.662
0.333 0.667 0.808
0.667 0.333 0.192